Entry 1:
VASP calculation (GGA-PBE) on a geometry-optimized Ca2Nb2O7 structure.

Output
Energy relative to the elements, meV/atom: -3297.5
Calculated density, kg/m3: 4307
Uncorrected energy, eV for the cell shown: -361.25

Cell lengths 7.771, 5.548, 13.660 Å; angles 90.00, 98.28, 90.00 degrees
Sites, in units of the cell vectors:
1 Ca 0.139 0.000 0.065
2 Ca 0.230 0.419 0.416
3 Ca 0.283 0.901 0.624
4 Ca 0.360 0.426 0.900
5 Ca 0.640 0.926 0.100
6 Ca 0.717 0.401 0.376
7 Ca 0.770 0.919 0.584
8 Ca 0.861 0.500 0.935
9 Nb 0.032 0.416 0.616
10 Nb 0.079 0.937 0.823
11 Nb 0.412 0.441 0.174
12 Nb 0.474 0.916 0.382
13 Nb 0.526 0.416 0.618
14 Nb 0.588 0.941 0.826
15 Nb 0.921 0.437 0.177
16 Nb 0.968 0.916 0.384
17 O 0.014 0.094 0.681
18 O 0.053 0.683 0.520
19 O 0.073 0.205 0.906
20 O 0.118 0.608 0.725
21 O 0.138 0.714 0.927
22 O 0.172 0.330 0.191
23 O 0.222 0.984 0.389
24 O 0.272 0.308 0.587
25 O 0.327 0.007 0.802
26 O 0.365 0.733 0.115
27 O 0.415 0.236 0.062
28 O 0.426 0.590 0.322
29 O 0.458 0.681 0.522
30 O 0.496 0.605 0.728
31 O 0.504 0.105 0.272
32 O 0.542 0.181 0.478
33 O 0.574 0.090 0.678
34 O 0.585 0.736 0.938
35 O 0.635 0.233 0.885
36 O 0.673 0.507 0.198
37 O 0.728 0.808 0.413
38 O 0.778 0.484 0.611
39 O 0.828 0.830 0.809
40 O 0.862 0.214 0.073
41 O 0.882 0.108 0.275
42 O 0.927 0.705 0.094
43 O 0.947 0.183 0.480
44 O 0.986 0.594 0.319

Entry 2:
VASP calculation (GGA-PBE) on a geometry-optimized Ca4Nb6O21 structure.

Output
Energy relative to the elements, meV/atom: -2809.2
Calculated density, kg/m3: 3911
Uncorrected energy, eV for the cell shown: -245.19

Cell lengths 5.519, 5.519, 14.689 Å; angles 90.00, 90.00, 90.03 degrees
Sites, in units of the cell vectors:
1 Ca 0.000 0.000 0.000
2 Ca 0.000 0.000 0.311
3 Ca 0.500 0.500 0.000
4 Ca 0.500 0.500 0.311
5 Nb 0.000 0.500 0.156
6 Nb 0.000 0.500 0.453
7 Nb 0.000 0.500 0.859
8 Nb 0.500 0.000 0.156
9 Nb 0.500 0.000 0.453
10 Nb 0.500 0.000 0.859
11 O 0.000 0.000 0.628
12 O 0.000 0.500 0.024
13 O 0.000 0.500 0.289
14 O 0.000 0.500 0.574
15 O 0.000 0.500 0.739
16 O 0.176 0.824 0.157
17 O 0.232 0.768 0.418
18 O 0.233 0.767 0.895
19 O 0.267 0.267 0.418
20 O 0.267 0.267 0.895
21 O 0.324 0.324 0.157
22 O 0.500 0.000 0.024
23 O 0.500 0.000 0.289
24 O 0.500 0.000 0.574
25 O 0.500 0.000 0.739
26 O 0.676 0.676 0.157
27 O 0.733 0.733 0.418
28 O 0.733 0.733 0.895
29 O 0.767 0.233 0.895
30 O 0.768 0.232 0.418
31 O 0.824 0.176 0.157

Entry 3:
VASP calculation (GGA-PBE) on a geometry-optimized Ca2Nb2O7 structure.

Output
Energy relative to the elements, meV/atom: -3297.4
Calculated density, kg/m3: 4308
Uncorrected energy, eV for the cell shown: -722.50

Cell lengths 27.000, 7.775, 5.552 Å; angles 90.00, 90.00, 90.00 degrees
Sites, in units of the cell vectors:
1 Ca 0.033 0.124 0.000
2 Ca 0.050 0.617 0.072
3 Ca 0.188 0.624 0.595
4 Ca 0.207 0.125 0.578
5 Ca 0.293 0.625 0.078
6 Ca 0.312 0.124 0.095
7 Ca 0.450 0.117 0.572
8 Ca 0.467 0.624 0.500
9 Ca 0.533 0.376 0.000
10 Ca 0.550 0.883 0.072
11 Ca 0.688 0.876 0.595
12 Ca 0.707 0.375 0.578
13 Ca 0.793 0.875 0.078
14 Ca 0.812 0.376 0.095
15 Ca 0.950 0.383 0.572
16 Ca 0.967 0.876 0.500
17 Nb 0.087 0.369 0.558
18 Nb 0.089 0.879 0.562
19 Nb 0.191 0.379 0.082
20 Nb 0.192 0.871 0.080
21 Nb 0.308 0.371 0.580
22 Nb 0.309 0.879 0.582
23 Nb 0.411 0.379 0.062
24 Nb 0.413 0.869 0.058
25 Nb 0.587 0.131 0.558
26 Nb 0.589 0.621 0.562
27 Nb 0.691 0.121 0.082
28 Nb 0.692 0.629 0.080
29 Nb 0.808 0.129 0.580
30 Nb 0.809 0.621 0.582
31 Nb 0.911 0.121 0.062
32 Nb 0.913 0.631 0.058
33 O 0.031 0.398 0.764
34 O 0.037 0.846 0.785
35 O 0.047 0.904 0.293
36 O 0.057 0.339 0.267
37 O 0.097 0.125 0.667
38 O 0.099 0.624 0.493
39 O 0.136 0.436 0.892
40 O 0.138 0.814 0.889
41 O 0.160 0.904 0.403
42 O 0.161 0.347 0.406
43 O 0.195 0.125 0.014
44 O 0.207 0.625 0.187
45 O 0.239 0.422 0.813
46 O 0.240 0.828 0.813
47 O 0.260 0.328 0.313
48 O 0.261 0.922 0.313
49 O 0.293 0.125 0.687
50 O 0.305 0.625 0.514
51 O 0.339 0.847 0.906
52 O 0.340 0.404 0.903
53 O 0.362 0.314 0.389
54 O 0.364 0.936 0.392
55 O 0.401 0.124 0.993
56 O 0.403 0.625 0.167
57 O 0.443 0.839 0.767
58 O 0.453 0.404 0.793
59 O 0.463 0.346 0.285
60 O 0.469 0.898 0.264
61 O 0.531 0.102 0.764
62 O 0.537 0.654 0.785
63 O 0.547 0.596 0.293
64 O 0.557 0.161 0.267
65 O 0.597 0.375 0.667
66 O 0.599 0.876 0.493
67 O 0.636 0.064 0.892
68 O 0.638 0.686 0.889
69 O 0.660 0.596 0.403
70 O 0.661 0.153 0.406
71 O 0.695 0.375 0.014
72 O 0.707 0.875 0.187
73 O 0.739 0.078 0.813
74 O 0.740 0.672 0.813
75 O 0.760 0.172 0.313
76 O 0.761 0.578 0.313
77 O 0.793 0.375 0.687
78 O 0.805 0.875 0.514
79 O 0.839 0.653 0.906
80 O 0.840 0.096 0.903
81 O 0.862 0.186 0.389
82 O 0.864 0.564 0.392
83 O 0.901 0.376 0.993
84 O 0.903 0.875 0.167
85 O 0.943 0.661 0.767
86 O 0.953 0.096 0.793
87 O 0.963 0.154 0.285
88 O 0.969 0.602 0.264

Entry 4:
VASP calculation (GGA-PBE) on a geometry-optimized CaNbO3 structure.

Output
Energy relative to the elements, meV/atom: -3157.0
Calculated density, kg/m3: 4739
Uncorrected energy, eV for the cell shown: -162.70

Cell lengths 5.716, 7.983, 5.559 Å; angles 90.00, 90.00, 90.00 degrees
Sites, in units of the cell vectors:
1 Ca 0.052 0.250 0.009
2 Ca 0.448 0.750 0.509
3 Ca 0.552 0.250 0.491
4 Ca 0.948 0.750 0.991
5 Nb 0.000 0.000 0.500
6 Nb 0.000 0.500 0.500
7 Nb 0.500 0.000 0.000
8 Nb 0.500 0.500 0.000
9 O 0.028 0.750 0.412
10 O 0.203 0.546 0.801
11 O 0.203 0.954 0.801
12 O 0.297 0.046 0.301
13 O 0.297 0.454 0.301
14 O 0.472 0.250 0.912
15 O 0.528 0.750 0.088
16 O 0.703 0.546 0.699
17 O 0.703 0.954 0.699
18 O 0.797 0.046 0.199
19 O 0.797 0.454 0.199
20 O 0.972 0.250 0.588